Record 1
Below is an optimized crystal structure of Na4HfC8O19, with properties calculated at the PBE-GGA level.

Cell and atoms, written as CIF:
```
data_Na4HfC8O19
_space_group_name_H-M_alt 'C 2 2 21'
_space_group_IT_number 20
_space_group_name_Hall 'C 2c 2'
_cell_length_a 7.536
_cell_length_b 19.000
_cell_length_c 12.263
_cell_angle_alpha 90.00
_cell_angle_beta 90.00
_cell_angle_gamma 90.00
loop_
_atom_site_label
_atom_site_fract_x
_atom_site_fract_y
_atom_site_fract_z
Na1 0.000 0.086 0.250
Na2 0.140 0.500 0.500
Na3 0.211 0.268 0.668
Hf1 0.000 0.109 0.750
C1 0.133 0.405 0.141
C2 0.145 0.128 0.983
C3 0.152 0.203 0.933
C4 0.198 0.483 0.159
O1 0.000 0.209 0.250
O2 0.013 0.393 0.399
O3 0.078 0.206 0.838
O4 0.095 0.081 0.913
O5 0.111 0.467 0.878
O6 0.157 0.014 0.714
O7 0.189 0.116 0.079
O8 0.224 0.253 0.982
O9 0.237 0.159 0.327
O10 0.250 0.140 0.676
```



Record 2
Below is an optimized crystal structure of CeCdAg2, with properties calculated at the PBE-GGA level.

Cell and atoms, written as CIF:
```
data_CeCdAg2
_space_group_name_H-M_alt 'F m -3 m'
_space_group_IT_number 225
_space_group_name_Hall '-F 4 2 3'
_cell_length_a 7.145
_cell_length_b 7.145
_cell_length_c 7.145
_cell_angle_alpha 90.00
_cell_angle_beta 90.00
_cell_angle_gamma 90.00
loop_
_atom_site_label
_atom_site_fract_x
_atom_site_fract_y
_atom_site_fract_z
Ce1 0.000 0.000 0.000
Cd1 0.000 0.000 0.500
Ag1 0.250 0.250 0.250
```



Record 3
Below is an optimized crystal structure of ScIn3P4, with properties calculated at the PBE-GGA level.

Cell and atoms, written as CIF:
```
data_ScIn3P4
_space_group_name_H-M_alt 'P -4 m 2'
_space_group_IT_number 115
_space_group_name_Hall 'P -4 -2'
_cell_length_a 4.217
_cell_length_b 4.217
_cell_length_c 11.906
_cell_angle_alpha 90.00
_cell_angle_beta 90.00
_cell_angle_gamma 90.00
loop_
_atom_site_label
_atom_site_fract_x
_atom_site_fract_y
_atom_site_fract_z
Sc1 0.000 0.000 0.000
In1 0.000 0.000 0.500
In2 0.500 0.500 0.250
P1 0.000 0.500 0.124
P2 0.000 0.500 0.625
```



Record 4
Below is an optimized crystal structure of PrHSO5, with properties calculated at the PBE-GGA level.

Cell and atoms, written as CIF:
```
data_PrHSO5
_space_group_name_H-M_alt 'P 1 21/c 1'
_space_group_IT_number 14
_space_group_name_Hall '-P 2ybc'
_cell_length_a 4.558
_cell_length_b 12.632
_cell_length_c 7.170
_cell_angle_alpha 90.00
_cell_angle_beta 111.43
_cell_angle_gamma 90.00
loop_
_atom_site_label
_atom_site_fract_x
_atom_site_fract_y
_atom_site_fract_z
Pr1 0.161 0.066 0.302
H1 0.194 0.652 0.963
S1 0.405 0.145 0.888
O1 0.197 0.070 0.950
O2 0.229 0.244 0.817
O3 0.234 0.585 0.037
O4 0.305 0.665 0.440
O5 0.471 0.095 0.719
```



Record 5
Below is an optimized crystal structure of AcSm3, with properties calculated at the PBE-GGA level.

Cell and atoms, written as CIF:
```
data_AcSm3
_space_group_name_H-M_alt 'P 63/m m c'
_space_group_IT_number 194
_space_group_name_Hall '-P 6c 2c'
_cell_length_a 7.4569
_cell_length_b 7.4569
_cell_length_c 6.0923
_cell_angle_alpha 90.00
_cell_angle_beta 90.00
_cell_angle_gamma 120.00
loop_
_atom_site_label
_atom_site_fract_x
_atom_site_fract_y
_atom_site_fract_z
Ac1 0.3333 0.6667 0.2500
Sm1 0.1624 0.3248 0.7500
```



Record 6
Below is an optimized crystal structure of Ba5Y3I19, with properties calculated at the PBE-GGA level.

Cell and atoms, written as CIF:
```
data_Ba5Y3I19
_space_group_name_H-M_alt 'P -1'
_space_group_IT_number 2
_space_group_name_Hall '-P 1'
_cell_length_a 11.826
_cell_length_b 14.901
_cell_length_c 16.664
_cell_angle_alpha 86.87
_cell_angle_beta 70.06
_cell_angle_gamma 78.54
loop_
_atom_site_label
_atom_site_fract_x
_atom_site_fract_y
_atom_site_fract_z
Ba1 0.059 0.190 0.150
Ba2 0.196 0.189 0.739
Ba3 0.262 0.667 0.301
Ba4 0.336 0.414 0.934
Ba5 0.391 0.282 0.332
Y1 0.164 0.538 0.669
Y2 0.257 0.000 0.484
Y3 0.334 0.815 0.020
I1 0.000 0.000 0.500
I2 0.003 0.606 0.290
I3 0.058 0.311 0.330
I4 0.066 0.572 0.862
I5 0.105 0.847 0.183
I6 0.134 0.269 0.941
I7 0.184 0.963 0.677
I8 0.199 0.206 0.528
I9 0.227 0.809 0.882
I10 0.242 0.496 0.475
I11 0.298 0.018 0.012
I12 0.326 0.611 0.051
I13 0.339 0.663 0.640
I14 0.341 0.805 0.426
I15 0.346 0.063 0.301
I16 0.349 0.377 0.705
I17 0.392 0.249 0.101
I18 0.458 0.468 0.212
I19 0.464 0.792 0.156
I20 0.500 0.000 0.500
```



Record 7
Below is an optimized crystal structure of Li6UO6, with properties calculated at the PBE-GGA level.

Cell and atoms, written as CIF:
```
data_Li6UO6
_space_group_name_H-M_alt 'R -3 m'
_space_group_IT_number 166
_space_group_name_Hall '-R 3 2"'
_cell_length_a 8.4685
_cell_length_b 8.4685
_cell_length_c 7.4651
_cell_angle_alpha 90.00
_cell_angle_beta 90.00
_cell_angle_gamma 120.00
loop_
_atom_site_label
_atom_site_fract_x
_atom_site_fract_y
_atom_site_fract_z
Li1 0.0000 0.3543 0.0000
U1 0.0000 0.0000 0.0000
O1 0.0873 0.5437 0.8123
```



Record 8
Below is an optimized crystal structure of Nd3Ti12Bi13O48, with properties calculated at the PBE-GGA level.

Cell and atoms, written as CIF:
```
data_Nd3Ti12Bi13O48
_space_group_name_H-M_alt 'P 1'
_space_group_IT_number 1
_space_group_name_Hall 'P 1'
_cell_length_a 5.470
_cell_length_b 10.898
_cell_length_c 16.915
_cell_angle_alpha 90.00
_cell_angle_beta 80.77
_cell_angle_gamma 89.97
loop_
_atom_site_label
_atom_site_fract_x
_atom_site_fract_y
_atom_site_fract_z
Nd1 0.000 0.000 0.000
Nd2 0.003 0.500 0.000
Nd3 0.504 0.250 0.000
Ti1 0.067 0.751 0.870
Ti2 0.069 0.250 0.871
Ti3 0.204 0.250 0.613
Ti4 0.204 0.750 0.613
Ti5 0.456 0.001 0.126
Ti6 0.457 0.497 0.125
Ti7 0.568 0.500 0.871
Ti8 0.569 0.998 0.872
Ti9 0.703 0.999 0.613
Ti10 0.704 0.499 0.613
Ti11 0.944 0.750 0.126
Ti12 0.955 0.250 0.125
Bi1 0.093 0.999 0.738
Bi2 0.095 0.499 0.737
Bi3 0.252 0.012 0.449
Bi4 0.252 0.512 0.449
Bi5 0.324 0.261 0.294
Bi6 0.324 0.762 0.294
Bi7 0.469 0.747 0.007
Bi8 0.595 0.250 0.737
Bi9 0.595 0.751 0.737
Bi10 0.752 0.238 0.449
Bi11 0.752 0.738 0.448
Bi12 0.824 0.488 0.294
Bi13 0.824 0.988 0.294
O1 0.017 0.400 0.621
O2 0.018 0.900 0.621
O3 0.038 0.216 0.984
O4 0.050 0.377 0.373
O5 0.050 0.877 0.373
O6 0.052 0.127 0.370
O7 0.052 0.627 0.369
O8 0.057 0.716 0.984
O9 0.175 0.289 0.753
O10 0.175 0.788 0.753
O11 0.214 0.383 0.088
O12 0.214 0.883 0.088
O13 0.238 0.136 0.113
O14 0.245 0.638 0.113
O15 0.258 0.220 0.509
O16 0.258 0.721 0.509
O17 0.321 0.108 0.853
O18 0.321 0.607 0.851
O19 0.371 0.858 0.889
O20 0.372 0.356 0.890
O21 0.409 0.468 0.230
O22 0.409 0.970 0.231
O23 0.424 0.109 0.649
O24 0.424 0.609 0.649
O25 0.517 0.349 0.621
O26 0.517 0.849 0.621
O27 0.535 0.531 0.984
O28 0.543 0.035 0.984
O29 0.550 0.372 0.373
O30 0.550 0.872 0.373
O31 0.552 0.123 0.370
O32 0.552 0.623 0.369
O33 0.675 0.961 0.752
O34 0.676 0.460 0.753
O35 0.714 0.366 0.088
O36 0.715 0.867 0.090
O37 0.738 0.114 0.113
O38 0.745 0.610 0.115
O39 0.758 0.029 0.509
O40 0.758 0.529 0.509
O41 0.820 0.143 0.852
O42 0.827 0.639 0.851
O43 0.872 0.393 0.890
O44 0.880 0.896 0.886
O45 0.909 0.780 0.231
O46 0.911 0.280 0.230
O47 0.924 0.140 0.649
O48 0.924 0.640 0.649
```



Record 9
# NaMg14Nb (PBE-GGA, relaxed)
# - Distance to the lowest polymorph of the same formula: 0 meV/atom
data_NaMg14Nb
_space_group_name_H-M_alt 'P -6 m 2'
_space_group_IT_number 187
_space_group_name_Hall 'P -6 2'
_cell_length_a 6.4439
_cell_length_b 6.4439
_cell_length_c 10.0450
_cell_angle_alpha 90.00
_cell_angle_beta 90.00
_cell_angle_gamma 120.00
loop_
_atom_site_label
_atom_site_fract_x
_atom_site_fract_y
_atom_site_fract_z
Na1 0.0000 0.0000 0.0000
Mg1 0.0018 0.5009 0.5000
Mg2 0.0029 0.5015 0.0000
Mg3 0.1637 0.3274 0.2582
Mg4 0.6667 0.3333 0.2500
Nb1 0.0000 0.0000 0.5000



Record 10
# Mg16ZrAl12 (PBE-GGA, relaxed)
# - Distance to the lowest polymorph of the same formula: 0 meV/atom
data_Mg16ZrAl12
_space_group_name_H-M_alt 'R 3 m'
_space_group_IT_number 160
_space_group_name_Hall 'R 3 -2"'
_cell_length_a 15.1291
_cell_length_b 15.1291
_cell_length_c 8.7631
_cell_angle_alpha 90.00
_cell_angle_beta 90.00
_cell_angle_gamma 120.00
loop_
_atom_site_label
_atom_site_fract_x
_atom_site_fract_y
_atom_site_fract_z
Mg1 0.0000 0.0000 0.0000
Mg2 0.0058 0.3065 0.3082
Mg3 0.0632 0.5316 0.2199
Mg4 0.2175 0.1088 0.5070
Mg5 0.2201 0.4402 0.7880
Zr1 0.0000 0.0000 0.6320
Al1 0.0601 0.1202 0.3173
Al2 0.0896 0.5448 0.7387
Al3 0.1546 0.4871 0.4827



Record 11
Below is an optimized crystal structure of Mg2Fe, with properties calculated at the PBE-GGA level.

Cell and atoms, written as CIF:
```
data_Mg2Fe
_space_group_name_H-M_alt 'C m c m'
_space_group_IT_number 63
_space_group_name_Hall '-C 2c 2'
_cell_length_a 4.683
_cell_length_b 14.693
_cell_length_c 3.125
_cell_angle_alpha 90.00
_cell_angle_beta 90.00
_cell_angle_gamma 90.00
loop_
_atom_site_label
_atom_site_fract_x
_atom_site_fract_y
_atom_site_fract_z
Mg1 0.000 0.085 0.250
Mg2 0.000 0.283 0.750
Fe1 0.000 0.441 0.250
```



Record 12
Below is an optimized crystal structure of BaLi2MgP2O8, with properties calculated at the PBE-GGA level.

Cell and atoms, written as CIF:
```
data_BaLi2MgP2O8
_space_group_name_H-M_alt 'P -3'
_space_group_IT_number 147
_space_group_name_Hall '-P 3'
_cell_length_a 5.1008
_cell_length_b 5.1008
_cell_length_c 7.1963
_cell_angle_alpha 90.00
_cell_angle_beta 90.00
_cell_angle_gamma 120.00
loop_
_atom_site_label
_atom_site_fract_x
_atom_site_fract_y
_atom_site_fract_z
Ba1 0.0000 0.0000 0.0000
Li1 0.3333 0.6667 0.2690
Mg1 0.0000 0.0000 0.5000
P1 0.3333 0.6667 0.7488
O1 0.0642 0.3598 0.6787
O2 0.3333 0.6667 0.9641
```



Record 13
Below is an optimized crystal structure of Sm4Sn3, with properties calculated at the PBE-GGA level.

Cell and atoms, written as CIF:
```
data_Sm4Sn3
_space_group_name_H-M_alt 'I -4 3 d'
_space_group_IT_number 220
_space_group_name_Hall 'I -4bd 2c 3'
_cell_length_a 9.502
_cell_length_b 9.502
_cell_length_c 9.502
_cell_angle_alpha 90.00
_cell_angle_beta 90.00
_cell_angle_gamma 90.00
loop_
_atom_site_label
_atom_site_fract_x
_atom_site_fract_y
_atom_site_fract_z
Sm1 0.071 0.429 0.571
Sn1 0.000 0.250 0.875
```



Quick rundown of uncorrected energy, same order as above: -887.9; -52.8; -39.3; -215.1; -36.1; -199.8; -251.7; -575.2; -32.1; -241.5; -44.9; -94.5; -144.5 eV for the cell shown
Quick rundown of ΔE_f, same order as above: -1.62; -0.17; -0.38; -2.52; 0.05; -1.82; -2.74; -2.78; 0.10; -0.05; 0.15; -3.02; -0.74 eV/atom